1) Below is a relaxed Li3MnCo2O6 crystal, with properties calculated at the PBE+U level.

Cell lengths 2.9492, 5.2040, 7.7703 Å; angles 108.92, 97.03, 91.57 degrees
Sites, in units of the cell vectors:
Li: 0.6645 0.8332 0.3314
Li: 0.0000 0.5000 0.0000
Li: 0.3355 0.1668 0.6686
Mn: 0.5000 0.0000 0.0000
Co: 0.8319 0.6697 0.6648
Co: 0.1681 0.3303 0.3352
O: 0.2445 0.7341 0.5077
O: 0.5760 0.3976 0.1728
O: 0.8867 0.0733 0.8360
O: 0.1133 0.9267 0.1640
O: 0.4240 0.6024 0.8272
O: 0.7555 0.2659 0.4923

Output
Its theoretical density is 4.31 g/cm3.



2) Below is a relaxed Li3MnCo2O6 crystal, with properties calculated at the PBE+U level.

Cell lengths 2.9977, 2.9977, 14.6202 Å; angles 87.97, 87.97, 58.13 degrees
Sites, in units of the cell vectors:
Li: 0.5000 0.5000 0.5000
Li: 0.1704 0.1704 0.1686
Li: 0.8296 0.8296 0.8314
Mn: 0.5000 0.5000 0.0000
Co: 0.1671 0.1671 0.6657
Co: 0.8329 0.8329 0.3343
O: 0.8349 0.8349 0.5904
O: 0.5012 0.5012 0.2591
O: 0.1377 0.1377 0.9212
O: 0.1651 0.1651 0.4096
O: 0.8623 0.8623 0.0788
O: 0.4988 0.4988 0.7409

Output
Its theoretical density is 4.31 g/cm3.



3) Below is a relaxed Li3MnCo2O6 crystal, with properties calculated at the PBE+U level.

Cell lengths 2.9424, 5.0862, 7.8213 Å; angles 79.09, 81.86, 76.15 degrees
Sites, in units of the cell vectors:
Li: 0.1717 0.4959 0.6654
Li: 0.8283 0.5041 0.3346
Li: 0.5000 0.5000 0.0000
Mn: 0.5000 0.0000 0.5000
Co: 0.8307 0.0042 0.8330
Co: 0.1693 0.9958 0.1670
O: 0.4972 0.7740 0.7497
O: 0.1911 0.7630 0.4147
O: 0.8309 0.7709 0.0834
O: 0.8089 0.2370 0.5853
O: 0.5028 0.2260 0.2503
O: 0.1691 0.2291 0.9166

Output
Its theoretical density is 4.33 g/cm3.



Which structure is the least stable? The one labeled 1).